# 1
Here is a relaxed structure of YbRu from the Materials Project database. Energies are from r²SCAN.

The structure in POSCAR format:
```
YbRu
1.0
-2.192 -1.638 1.880
-1.174 -1.530 -2.702
2.200 -2.449 0.431
Yb Ru
1 1
Cartesian
-0.583 -2.809 -0.196
0.000 0.000 0.000
```

Properties
Total energy ... -31.482 eV/atom
Crystal system ... cubic
E_form ... -0.51 eV per atom
Spin magnetization ... 0.0 μB/cell
SG ... No. 221
Calculated density ... 12.4 g/cm³
Calculated volume ... 36.6 Å³/cell

---

# 2
Here is a relaxed structure of S from the Materials Project database. Energies are from r²SCAN.

The structure in POSCAR format:
```
S
1.0
7.759 0.000 0.000
0.000 11.653 0.000
0.000 0.000 21.741
S
72
Cartesian
1.852 11.086 17.710
4.547 2.456 21.593
3.352 2.904 15.089
3.067 8.657 8.835
2.163 11.010 0.314
6.369 4.011 9.149
6.080 3.964 3.622
4.692 8.822 19.705
7.231 8.748 17.522
1.679 1.862 14.492
5.731 0.566 14.901
0.667 9.196 11.019
2.490 7.642 1.721
4.520 11.010 11.079
0.641 0.643 21.533
4.290 11.464 6.681
2.696 0.483 7.788
6.367 7.111 1.673
4.563 10.625 14.344
0.683 1.027 18.267
5.907 6.393 6.840
2.488 4.542 9.197
5.596 6.469 11.185
7.349 5.638 15.060
0.892 5.932 19.703
0.410 0.188 4.190
6.576 11.169 3.082
5.686 6.692 14.468
7.075 7.919 3.412
0.812 2.831 12.906
4.771 5.721 12.909
6.042 0.643 10.556
5.271 1.284 20.068
6.689 8.059 7.758
0.528 8.731 6.652
1.908 8.010 14.860
1.392 10.368 12.544
4.564 2.093 18.329
5.566 9.576 21.403
4.949 2.233 13.983
5.952 0.865 7.273
2.073 10.787 3.598
7.118 5.184 10.662
1.717 5.184 21.427
3.195 3.733 7.459
5.787 3.642 17.752
3.196 6.853 3.474
5.062 5.343 18.659
2.027 5.260 4.031
2.193 7.903 10.532
1.390 1.816 20.020
2.810 3.593 3.112
0.684 9.560 14.282
3.212 3.370 10.722
2.988 0.106 2.038
6.072 3.750 0.338
3.469 6.015 17.551
6.946 2.996 2.036
4.407 2.922 4.218
3.239 6.469 0.208
1.183 6.310 13.953
5.558 9.791 18.119
7.076 4.799 7.397
1.971 2.184 6.881
2.200 7.688 7.249
7.092 8.283 0.148
1.687 2.077 11.209
5.851 9.468 3.989
1.070 9.419 18.629
1.806 4.961 18.143
5.269 9.837 12.592
6.867 11.547 8.832
```

Properties
Total energy ... -8.020 eV/atom
Crystal system ... orthorhombic
E_form ... 0.01 eV per atom
Spin magnetization ... 0.0 μB/cell
SG ... No. 19
Calculated density ... 2.0 g/cm³
Calculated volume ... 1965.6 Å³/cell
Energy above the lowest structure with this stoichiometry ... 0.0136 eV per atom

---

# 3
Here is a relaxed structure of S from the Materials Project database. Energies are from r²SCAN.

The structure in POSCAR format:
```
S
1.0
7.925 0.000 -1.864
0.000 14.213 0.000
0.014 0.000 17.440
S
72
Cartesian
1.797 10.563 14.387
7.547 4.594 15.001
4.722 3.783 2.698
0.055 0.400 10.937
1.849 7.410 6.062
4.870 10.691 0.782
7.540 2.512 6.281
5.631 4.981 8.667
6.083 0.303 0.795
3.136 5.389 15.672
5.935 8.291 6.250
2.315 12.088 15.630
6.150 3.456 9.910
3.218 10.431 12.879
1.790 10.757 5.667
6.838 14.125 10.702
0.123 9.982 10.418
2.869 13.744 1.496
6.142 3.650 1.190
0.392 9.619 0.576
6.259 9.670 4.765
4.871 7.362 1.314
1.328 8.259 1.790
4.674 0.064 2.274
7.891 7.507 13.360
6.824 10.423 10.125
6.266 11.650 13.485
0.116 11.339 1.698
4.811 12.496 8.624
4.803 8.825 -0.096
2.005 5.923 9.327
5.064 6.637 5.361
1.674 2.564 2.091
1.122 3.316 14.172
1.102 0.088 4.875
5.011 11.280 5.053
6.611 5.954 13.787
0.399 11.701 9.296
2.928 2.933 10.523
6.817 10.897 1.405
4.877 10.629 9.502
0.048 6.706 2.217
7.884 13.813 4.640
3.069 3.523 14.795
5.071 0.470 14.081
7.823 2.875 13.879
1.115 3.790 5.451
7.816 4.232 5.159
3.265 14.149 13.303
4.681 7.043 10.994
3.061 0.255 5.543
6.090 6.804 9.515
3.062 3.584 6.075
6.830 7.195 1.981
5.018 10.040 13.773
4.878 13.959 10.034
1.681 4.543 10.812
1.998 1.184 0.607
3.129 1.718 6.952
1.856 13.910 14.782
3.068 6.852 14.263
5.942 13.029 14.970
4.729 3.324 11.418
1.336 13.061 10.510
1.109 7.019 13.595
6.604 1.152 5.067
3.258 7.171 4.583
2.876 7.577 10.216
2.308 9.232 6.910
2.921 4.174 1.803
5.624 2.125 -0.053
3.210 10.889 4.159
```

Properties
Total energy ... -8.003 eV/atom
Crystal system ... monoclinic
E_form ... 0.03 eV per atom
Spin magnetization ... 0.0 μB/cell
SG ... No. 14
Calculated density ... 2.0 g/cm³
Calculated volume ... 1964.9 Å³/cell
Energy above the lowest structure with this stoichiometry ... 0.0313 eV per atom

---

# 4
Here is a relaxed structure of S from the Materials Project database. Energies are from r²SCAN.

The structure in POSCAR format:
```
S
1.0
-0.365 5.119 -3.439
-14.649 2.144 4.745
5.619 8.370 11.863
S
56
Cartesian
-7.226 8.350 3.616
-11.975 10.377 5.638
-3.253 1.680 0.516
-1.598 8.286 4.625
-10.451 9.236 5.121
-5.903 10.724 8.473
-7.829 11.642 14.170
-2.747 7.939 11.398
-13.016 6.729 6.561
3.621 8.903 6.609
-8.096 6.421 1.110
-9.171 4.587 3.613
1.055 6.396 8.048
-1.567 3.990 -1.000
-11.497 7.006 7.890
-3.234 5.263 6.620
-7.734 4.685 2.264
-6.162 10.369 6.550
-4.803 10.986 12.811
-8.584 5.883 5.297
-8.045 13.237 12.799
1.655 7.524 9.845
-0.224 11.045 9.556
-12.532 3.523 6.312
-2.563 8.954 8.314
-11.050 8.108 3.324
2.580 5.255 7.532
-4.593 4.645 0.358
-0.204 4.551 5.300
-7.994 9.975 13.128
-1.350 2.395 0.370
-4.297 3.006 1.664
-6.832 6.678 4.855
3.136 12.110 6.857
-1.401 5.657 0.042
-6.142 13.952 12.653
-7.797 7.347 8.545
-3.567 8.501 4.146
-8.780 7.809 10.273
-0.615 7.824 2.896
-7.873 11.228 9.331
-2.168 7.282 9.553
-3.365 6.069 0.962
-1.661 10.947 10.906
2.989 10.304 7.955
-0.811 9.750 7.872
-1.299 9.211 12.059
-1.522 4.405 3.838
-12.385 5.329 5.215
-5.828 7.132 9.024
-5.098 12.626 11.505
-9.192 11.082 7.870
2.102 8.627 5.279
-3.492 4.908 4.697
-6.031 9.564 12.207
-6.648 7.693 1.771
```

Properties
Total energy ... -8.005 eV/atom
Crystal system ... monoclinic
E_form ... 0.03 eV per atom
Spin magnetization ... 0.0 μB/cell
SG ... No. 14
Calculated density ... 2.0 g/cm³
Calculated volume ... 1494.3 Å³/cell
Energy above the lowest structure with this stoichiometry ... 0.0289 eV per atom

---

- calculated density of number 1 (YbRu)?
  12.4 g/cm³

---

- What is the formula in the fourth record?
  S

---

- Look up the E_form of the second one.
  0.01 eV per atom